Material: NdCu4Pd
Method: DFT, r²SCAN
State: optimized geometry

a b c (Å): 5.2312 5.2312 5.2312
angles (deg): 56.59 56.59 56.59
Last column: nearest neighbours and their distance in Å.
Fractional positions:
Nd (0.9998, 0.9998, 0.9998)  3 Pd 2.91, 13 Cu 2.96-3.20
Cu (0.6316, 0.1335, 0.6316)  6 Cu 2.47-2.76, 2 Pd 2.57-2.66
Cu (0.1335, 0.6316, 0.6316)  6 Cu 2.47-2.76, 2 Pd 2.57-2.66
Cu (0.6316, 0.6316, 0.1335)  6 Cu 2.47-2.76, 2 Pd 2.57-2.66
Cu (0.2249, 0.2249, 0.2249)  6 Cu 2.76, 1 Nd 2.96, 3 Pd 3.01
Pd (0.6286, 0.6286, 0.6286)  6 Cu 2.57-2.66

- energy of formation (meV per atom) = -263
- total magnetization (μB/atom) = 0.0000

=====

Material: NdCuSe2
Method: DFT, r²SCAN
State: optimized geometry

a b c (Å): 6.7264 7.1946 7.4840
angles (deg): 90.00 90.00 96.69
Last column: nearest neighbours and their distance in Å.
Fractional positions:
Nd (0.6918, 0.2990, 0.5474)  7 Se 2.94-3.25
Nd (0.3082, 0.2010, 0.0474)  7 Se 2.94-3.25
Nd (0.3082, 0.7010, 0.4526)  7 Se 2.94-3.25
Nd (0.6918, 0.7990, 0.9526)  7 Se 2.94-3.25
Cu (0.0675, 0.5485, 0.8408)  4 Se 2.45-2.61, 1 Cu 2.62
Cu (0.9325, 0.4515, 0.1592)  4 Se 2.45-2.61, 1 Cu 2.62
Cu (0.0675, 0.0485, 0.6592)  4 Se 2.45-2.61, 1 Cu 2.62
Cu (0.9325, 0.9515, 0.3408)  4 Se 2.45-2.61, 1 Cu 2.62
Se (0.4158, 0.0018, 0.7242)  1 Cu 2.45
Se (0.4158, 0.5018, 0.7758)  1 Cu 2.45
Se (0.5842, 0.4982, 0.2242)  1 Cu 2.45
Se (0.5842, 0.9982, 0.2758)  1 Cu 2.45
Se (0.9042, 0.7227, 0.6120)  3 Cu 2.46-2.61
Se (0.0958, 0.7773, 0.1120)  3 Cu 2.46-2.61
Se (0.0958, 0.2773, 0.3880)  3 Cu 2.46-2.61
Se (0.9042, 0.2227, 0.8880)  3 Cu 2.46-2.61

- energy of formation (meV per atom) = -1452
- total magnetization (μB/atom) = 0.0000

=====

Material: NdCuSn
Method: DFT, r²SCAN
State: optimized geometry

a b c (Å): 4.5831 4.5831 7.6569
angles (deg): 90.00 90.00 120.00
Last column: nearest neighbours and their distance in Å.
Fractional positions:
Nd (0.0000, 0.0000, 0.4921)  3 Cu 3.03, 6 Sn 3.19-3.35
Nd (0.0000, 0.0000, 0.9921)  3 Cu 3.03, 6 Sn 3.19-3.35
Cu (0.6667, 0.3333, 0.2998)  3 Sn 2.71, 3 Nd 3.03
Cu (0.3333, 0.6667, 0.7998)  3 Sn 2.71, 3 Nd 3.03
Sn (0.3333, 0.6667, 0.2242)  3 Cu 2.71
Sn (0.6667, 0.3333, 0.7242)  3 Cu 2.71

- energy of formation (meV per atom) = -657
- total magnetization (μB/atom) = 0.0000

=====

Material: Nd3Cu4Sn4
Method: DFT, r²SCAN
State: optimized geometry

a b c (Å): 4.5619 6.9946 8.5997
angles (deg): 114.02 105.39 89.96
Last column: nearest neighbours and their distance in Å.
Fractional positions:
Nd (0.0000, 0.5000, 0.0000)  6 Sn 3.10-3.26
Nd (0.1341, 0.1338, 0.2680)  6 Sn 3.20-3.35, 6 Cu 3.22-3.25
Nd (0.8659, 0.8662, 0.7320)  6 Sn 3.20-3.35, 6 Cu 3.22-3.25
Cu (0.6683, 0.4848, 0.3338)  1 Cu 2.55, 4 Sn 2.64-2.83
Cu (0.6685, 0.8493, 0.3338)  1 Cu 2.55, 4 Sn 2.64-2.83
Cu (0.3315, 0.1507, 0.6662)  1 Cu 2.55, 4 Sn 2.64-2.83
Cu (0.3317, 0.5152, 0.6662)  1 Cu 2.55, 4 Sn 2.64-2.83
Sn (0.5002, 0.2000, 0.0000)  2 Cu 2.64, 1 Sn 2.80
Sn (0.4998, 0.8000, 0.0000)  2 Cu 2.64, 1 Sn 2.80
Sn (0.2173, 0.7165, 0.4330)  6 Cu 2.71-2.83
Sn (0.7827, 0.2835, 0.5670)  6 Cu 2.71-2.83

- energy of formation (meV per atom) = -584
- total magnetization (μB/atom) = 0.0000

=====

Material: NdCuSn
Method: DFT, r²SCAN
State: optimized geometry

a b c (Å): 4.5263 4.5263 8.0021
angles (deg): 90.00 90.00 120.00
Last column: nearest neighbours and their distance in Å.
Fractional positions:
Nd (0.0000, 0.0000, 0.5000)  6 Sn 3.29, 6 Cu 3.29
Nd (0.0000, 0.0000, 0.0000)  6 Sn 3.29, 6 Cu 3.29
Cu (0.3333, 0.6667, 0.2500)  3 Sn 2.61
Cu (0.6667, 0.3333, 0.7500)  3 Sn 2.61
Sn (0.3333, 0.6667, 0.7500)  3 Cu 2.61
Sn (0.6667, 0.3333, 0.2500)  3 Cu 2.61

- energy of formation (meV per atom) = -645
- total magnetization (μB/atom) = 0.0000

=====

Material: Cu3Ni
Method: DFT, r²SCAN
State: optimized geometry

a b c (Å): 2.4449 2.4449 8.2459
angles (deg): 90.00 90.00 114.86
Last column: nearest neighbours and their distance in Å.
Fractional positions:
Cu (0.5000, 0.5000, 0.7533)  2 Ni 2.42, 8 Cu 2.44-2.63
Cu (0.0000, 0.0000, 0.5000)  10 Cu 2.44-2.63
Cu (0.5000, 0.5000, 0.2467)  2 Ni 2.42, 8 Cu 2.44-2.63
Ni (0.0000, 0.0000, 0.0000)  4 Cu 2.42, 6 Ni 2.44-2.63

- energy of formation (meV per atom) = 59
- total magnetization (μB/atom) = 0.0976

=====

Material: CuNi3
Method: DFT, r²SCAN
State: optimized geometry

a b c (Å): 4.2666 4.2666 4.2666
angles (deg): 131.39 131.39 71.20
Last column: nearest neighbours and their distance in Å.
Fractional positions:
Cu (0.0000, 0.0000, 0.0000)  12 Ni 2.47-2.48
Ni (0.7500, 0.2500, 0.5000)  8 Ni 2.47-2.48, 4 Cu 2.47
Ni (0.2500, 0.7500, 0.5000)  8 Ni 2.47-2.48, 4 Cu 2.47
Ni (0.5000, 0.5000, 0.0000)  8 Ni 2.47, 4 Cu 2.48

- energy of formation (meV per atom) = 43
- total magnetization (μB/atom) = 0.4776

=====

Material: U6Cu3Ni3Sb8
Method: DFT, r²SCAN
State: optimized geometry

a b c (Å): 8.2776 8.2774 9.5397
angles (deg): 54.85 54.85 70.36
Last column: nearest neighbours and their distance in Å.
Fractional positions:
U (0.8741, 0.3715, 0.6355)  1 Ni 2.85, 3 Cu 2.91-2.98
U (0.6285, 0.1259, 0.3645)  1 Ni 2.85, 3 Cu 2.91-2.98
U (0.3691, 0.6309, 0.0000)  2 Ni 2.90, 2 Cu 2.96
U (0.1310, 0.8690, 0.5000)  2 Ni 2.90, 2 Cu 2.96
U (0.2419, 0.2426, 0.8863)  3 Ni 2.88-2.94, 1 Cu 3.01, 1 Sb 3.21
U (0.7574, 0.7581, 0.1137)  3 Ni 2.88-2.94, 1 Cu 3.01, 1 Sb 3.21
Cu (0.6252, 0.3748, 0.5000)  4 Sb 2.65-2.66
Cu (0.2489, 0.2501, 0.3764)  4 Sb 2.67-2.68, 4 U 2.91-2.96
Cu (0.7499, 0.7510, 0.6236)  4 Sb 2.67-2.68, 4 U 2.91-2.96
Ni (0.3745, 0.8755, 0.1249)  4 Sb 2.64-2.65, 4 U 2.88-2.94
Ni (0.1245, 0.6255, 0.8751)  4 Sb 2.64-2.65, 4 U 2.88-2.94
Ni (0.8748, 0.1252, 0.0000)  4 Sb 2.66, 4 U 2.85-2.89
Sb (0.3416, 0.5036, 0.4083)  1 Ni 2.64, 2 Cu 2.65-2.68
Sb (0.0028, 0.8384, 0.2474)  2 Ni 2.65-2.66, 1 Cu 2.68
Sb (0.1616, 0.9971, 0.7526)  2 Ni 2.65-2.66, 1 Cu 2.68
Sb (0.4964, 0.6584, 0.5917)  1 Ni 2.64, 2 Cu 2.65-2.68
Sb (0.9993, 0.3420, 0.2477)  1 Ni 2.65, 2 Cu 2.66-2.67
Sb (0.8406, 0.5002, 0.9117)  2 Ni 2.65-2.66, 1 Cu 2.68
Sb (0.6580, 0.0007, 0.7523)  1 Ni 2.65, 2 Cu 2.66-2.67
Sb (0.4998, 0.1594, 0.0883)  2 Ni 2.65-2.66, 1 Cu 2.68

- energy of formation (meV per atom) = -573
- total magnetization (μB/atom) = 0.7500

=====

Material: Sc2CuNi
Method: DFT, r²SCAN
State: optimized geometry

a b c (Å): 4.5140 4.5140 4.5140
angles (deg): 60.00 60.00 60.00
Last column: nearest neighbours and their distance in Å.
Fractional positions:
Sc (0.2500, 0.2500, 0.2500)  4 Cu 2.76, 4 Ni 2.76
Sc (0.7500, 0.7500, 0.7500)  4 Cu 2.76, 4 Ni 2.76
Cu (0.5000, 0.5000, 0.5000)  8 Sc 2.76
Ni (0.0000, 0.0000, 0.0000)  8 Sc 2.76

- energy of formation (meV per atom) = -359
- total magnetization (μB/atom) = 0.0000

=====

Material: Y2Cu5Ni5
Method: DFT, r²SCAN
State: optimized geometry

a b c (Å): 3.9267 4.9436 8.5141
angles (deg): 90.00 90.00 90.00
Last column: nearest neighbours and their distance in Å.
Fractional positions:
Y (0.0000, 0.0001, 0.0000)  6 Cu 2.81-2.86, 8 Ni 3.14
Y (0.0000, 0.4999, 0.5000)  10 Cu 2.83-3.16, 8 Ni 3.15
Cu (0.0000, 0.9999, 0.3298)  4 Ni 2.42, 2 Cu 2.44
Cu (0.0000, 0.5001, 0.8321)  6 Ni 2.42-2.43
Cu (0.0000, 0.5001, 0.1679)  6 Ni 2.42-2.43
Cu (0.0000, 0.9999, 0.6702)  4 Ni 2.42, 2 Cu 2.44
Cu (0.5000, 0.9998, 0.5000)  4 Cu 2.44, 4 Ni 2.47
Ni (0.5000, 0.5000, 0.0000)  4 Cu 2.43, 4 Ni 2.45
Ni (0.5000, 0.2508, 0.2487)  5 Cu 2.42-2.47, 3 Ni 2.45-2.48
Ni (0.5000, 0.7492, 0.7513)  5 Cu 2.42-2.47, 3 Ni 2.45-2.48
Ni (0.5000, 0.7492, 0.2487)  5 Cu 2.42-2.47, 3 Ni 2.45-2.48
Ni (0.5000, 0.2508, 0.7513)  5 Cu 2.42-2.47, 3 Ni 2.45-2.48

- energy of formation (meV per atom) = -250
- total magnetization (μB/atom) = 0.0000

=====

Material: Zn2CuNi
Method: DFT, r²SCAN
State: optimized geometry

a b c (Å): 2.7559 2.7559 6.3476
angles (deg): 90.00 90.00 90.00
Last column: nearest neighbours and their distance in Å.
Fractional positions:
Zn (0.5000, 0.5000, 0.2586)  4 Ni 2.48, 4 Cu 2.55, 4 Zn 2.76
Zn (0.5000, 0.5000, 0.7414)  4 Ni 2.48, 4 Cu 2.55, 4 Zn 2.76
Cu (0.0000, 0.0000, 0.0000)  8 Zn 2.55, 4 Cu 2.76
Ni (0.0000, 0.0000, 0.5000)  8 Zn 2.48, 4 Ni 2.76

- energy of formation (meV per atom) = -160
- total magnetization (μB/atom) = 0.0000

=====

Material: NpCuPO
Method: DFT, r²SCAN
State: optimized geometry

a b c (Å): 3.7972 3.7972 8.1629
angles (deg): 90.00 90.00 90.00
Last column: nearest neighbours and their distance in Å.
Fractional positions:
Np (0.0000, 0.5000, 0.3373)  4 O 2.32
Np (0.5000, 0.0000, 0.6629)  4 O 2.32
Cu (0.0000, 0.0000, 0.9999)  4 P 2.35-2.36
Cu (0.5000, 0.5000, 0.9999)  4 P 2.35-2.36
P (0.0000, 0.5000, 0.8293)  4 Cu 2.35
P (0.5000, 0.0000, 0.1707)  4 Cu 2.36
O (0.0000, 0.0000, 0.5001)  4 Np 2.32
O (0.5000, 0.5000, 0.5001)  4 Np 2.32

- energy of formation (meV per atom) = -1878
- total magnetization (μB/atom) = 0.7672